{
  "formula": "NaZn4H18SClO16",
  "functional": "PBE-GGA",
  "state": "optimized geometry",
  "cell": [[8.4712, 0.0000, 0.0000], [-4.2356, 7.3363, 0.0000], [0.0000, 0.0000, 13.1898]],
  "species": ["Na", "Na", "Zn", "Zn", "Zn", "Zn", "Zn", "Zn", "Zn", "Zn", "H", "H", "H", "H", "H", "H", "H", "H", "H", "H", "H", "H", "H", "H", "H", "H", "H", "H", "H", "H", "H", "H", "H", "H", "H", "H", "H", "H", "H", "H", "H", "H", "H", "H", "H", "H", "S", "S", "Cl", "Cl", "O", "O", "O", "O", "O", "O", "O", "O", "O", "O", "O", "O", "O", "O", "O", "O", "O", "O", "O", "O", "O", "O", "O", "O", "O", "O", "O", "O", "O", "O", "O", "O"],
  "fractional_positions": [[0.3333, 0.6667, 0.0919], [0.6667, 0.3333, 0.9081], [0.0000, 0.0000, 0.3625], [0.0000, 0.0000, 0.6375], [0.1275, 0.7136, 0.4926], [0.2864, 0.4139, 0.4926], [0.4139, 0.1275, 0.5074], [0.5861, 0.8725, 0.4926], [0.7136, 0.5861, 0.5074], [0.8725, 0.2864, 0.5074], [0.0088, 0.4597, 0.2159], [0.0483, 0.3208, 0.9982], [0.0760, 0.3174, 0.2048], [0.0910, 0.3250, 0.6548], [0.1194, 0.4785, 0.3548], [0.1776, 0.4195, 0.9075], [0.2340, 0.9090, 0.6548], [0.2414, 0.9240, 0.2048], [0.2420, 0.8224, 0.9075], [0.2725, 0.9517, 0.9982], [0.3174, 0.2414, 0.7952], [0.3208, 0.2725, 0.0018], [0.3250, 0.2340, 0.3452], [0.3591, 0.8806, 0.3548], [0.4195, 0.2420, 0.0925], [0.4508, 0.9912, 0.2159], [0.4597, 0.4508, 0.7841], [0.4785, 0.3591, 0.6452], [0.5215, 0.6409, 0.3548], [0.5403, 0.5492, 0.2159], [0.5492, 0.0088, 0.7841], [0.5805, 0.7580, 0.9075], [0.6409, 0.1194, 0.6452], [0.6750, 0.7660, 0.6548], [0.6792, 0.7275, 0.9982], [0.6826, 0.7586, 0.2048], [0.7275, 0.0483, 0.0018], [0.7580, 0.1776, 0.0925], [0.7586, 0.0760, 0.7952], [0.7660, 0.0910, 0.3452], [0.8224, 0.5805, 0.0925], [0.8806, 0.5215, 0.6452], [0.9090, 0.6750, 0.3452], [0.9240, 0.6826, 0.7952], [0.9517, 0.6792, 0.0018], [0.9912, 0.5403, 0.7841], [0.3333, 0.6667, 0.7232], [0.6667, 0.3333, 0.2768], [0.0000, 0.0000, 0.1889], [0.0000, 0.0000, 0.8111], [0.0631, 0.2494, 0.5930], [0.1055, 0.4790, 0.4293], [0.1192, 0.4475, 0.2155], [0.1735, 0.4939, 0.7613], [0.1785, 0.3999, 0.9808], [0.1864, 0.9369, 0.5930], [0.2214, 0.8215, 0.9808], [0.2494, 0.1864, 0.4070], [0.3204, 0.8265, 0.7613], [0.3283, 0.8808, 0.2155], [0.3333, 0.6667, 0.6098], [0.3734, 0.8945, 0.4293], [0.3999, 0.2214, 0.0192], [0.4475, 0.3283, 0.7845], [0.4790, 0.3734, 0.5707], [0.4939, 0.3204, 0.2387], [0.5061, 0.6796, 0.7613], [0.5210, 0.6266, 0.4293], [0.5525, 0.6717, 0.2155], [0.6001, 0.7786, 0.9808], [0.6266, 0.1055, 0.5707], [0.6667, 0.3333, 0.3902], [0.6717, 0.1192, 0.7845], [0.6796, 0.1735, 0.2387], [0.7506, 0.8136, 0.5930], [0.7786, 0.1785, 0.0192], [0.8136, 0.0631, 0.4070], [0.8215, 0.6001, 0.0192], [0.8265, 0.5061, 0.2387], [0.8808, 0.5525, 0.7845], [0.8945, 0.5210, 0.5707], [0.9369, 0.7506, 0.4070]],
  "total_magnetization_mub_per_atom": 0.000,
  "space_group": "P-3"
}



{
  "formula": "TiVC2",
  "functional": "PBE-GGA",
  "state": "optimized geometry",
  "cell": [[2.9974, 0.0000, 0.0000], [-1.4987, 2.5958, 0.0000], [0.0000, 0.0000, 14.7348]],
  "species": ["Ti", "Ti", "Ti", "V", "V", "V", "C", "C", "C", "C", "C", "C"],
  "fractional_positions": [[0.0000, 0.0000, 0.0000], [0.3333, 0.6667, 0.6667], [0.6667, 0.3333, 0.3333], [0.0000, 0.0000, 0.5000], [0.3333, 0.6667, 0.1667], [0.6667, 0.3333, 0.8333], [0.0000, 0.0000, 0.2469], [0.0000, 0.0000, 0.7531], [0.3333, 0.6667, 0.4198], [0.3333, 0.6667, 0.9136], [0.6667, 0.3333, 0.0864], [0.6667, 0.3333, 0.5802]],
  "total_magnetization_mub_per_atom": 0.000,
  "space_group": "R-3m"
}



{
  "formula": "U5Sn4",
  "functional": "PBE-GGA",
  "state": "optimized geometry",
  "cell": [[9.3541, 0.0000, 0.0000], [-4.6771, 8.1009, 0.0000], [0.0000, 0.0000, 6.1898]],
  "species": ["U", "U", "U", "U", "U", "U", "U", "U", "U", "U", "Sn", "Sn", "Sn", "Sn", "Sn", "Sn", "Sn", "Sn"],
  "fractional_positions": [[0.0000, 0.2892, 0.2500], [0.0000, 0.7108, 0.7500], [0.2892, 0.0000, 0.2500], [0.2892, 0.2892, 0.7500], [0.3333, 0.6667, 0.0000], [0.3333, 0.6667, 0.5000], [0.6667, 0.3333, 0.0000], [0.6667, 0.3333, 0.5000], [0.7108, 0.0000, 0.7500], [0.7108, 0.7108, 0.2500], [0.0000, 0.0000, 0.0000], [0.0000, 0.0000, 0.5000], [0.0000, 0.3738, 0.7500], [0.0000, 0.6262, 0.2500], [0.3738, 0.0000, 0.7500], [0.3738, 0.3738, 0.2500], [0.6262, 0.0000, 0.2500], [0.6262, 0.6262, 0.7500]],
  "total_magnetization_mub_per_atom": 1.647,
  "space_group": "P6_3/mcm"
}



{
  "formula": "RuC",
  "functional": "PBE-GGA",
  "state": "optimized geometry",
  "cell": [[2.7855, 0.0000, 0.0000], [-1.3928, 2.4123, 0.0000], [0.0000, 0.0000, 18.8560]],
  "species": ["Ru", "Ru", "Ru", "Ru", "Ru", "Ru", "C", "C", "C", "C", "C", "C"],
  "fractional_positions": [[0.0000, 0.0000, 0.2289], [0.0000, 0.0000, 0.7711], [0.3333, 0.6667, 0.4377], [0.3333, 0.6667, 0.8956], [0.6667, 0.3333, 0.1044], [0.6667, 0.3333, 0.5623], [0.0000, 0.0000, 0.0371], [0.0000, 0.0000, 0.9629], [0.3333, 0.6667, 0.6295], [0.3333, 0.6667, 0.7038], [0.6667, 0.3333, 0.2962], [0.6667, 0.3333, 0.3705]],
  "de_polymorph_ev_per_atom": 0.000,
  "total_magnetization_mub_per_atom": 0.000,
  "space_group": "R-3m"
}



{
  "formula": "Na2LiS2",
  "functional": "PBE-GGA",
  "state": "optimized geometry",
  "cell": [[6.0604, 0.0000, 0.0000], [0.0000, 6.0604, 0.0000], [0.0000, 0.0000, 13.4798]],
  "species": ["Na", "Na", "Li", "S", "S"],
  "fractional_positions": [[0.0000, 0.0000, 0.1481], [0.0000, 0.0000, 0.8519], [0.0000, 0.0000, 0.5000], [0.0000, 0.0000, 0.3312], [0.0000, 0.0000, 0.6688]],
  "total_magnetization_mub_per_atom": 0.273,
  "space_group": "P4/mmm"
}



{
  "formula": "LuCo4Ge2",
  "functional": "PBE-GGA",
  "state": "optimized geometry",
  "cell": [[7.1893, 0.0000, 0.0000], [0.0000, 7.1893, 0.0000], [0.0000, 0.0000, 3.7060]],
  "species": ["Lu", "Lu", "Co", "Co", "Co", "Co", "Co", "Co", "Co", "Co", "Ge", "Ge", "Ge", "Ge"],
  "fractional_positions": [[0.0000, 0.0000, 0.0000], [0.5000, 0.5000, 0.5000], [0.0826, 0.3533, 0.5000], [0.1467, 0.5826, 0.0000], [0.3533, 0.0826, 0.5000], [0.4174, 0.8533, 0.0000], [0.5826, 0.1467, 0.0000], [0.6467, 0.9174, 0.5000], [0.8533, 0.4174, 0.0000], [0.9174, 0.6467, 0.5000], [0.2214, 0.7786, 0.5000], [0.2786, 0.2786, 0.0000], [0.7214, 0.7214, 0.0000], [0.7786, 0.2214, 0.5000]],
  "total_magnetization_mub_per_atom": 0.084,
  "space_group": "P4_2/mnm"
}



{
  "formula": "Sr7ReN6",
  "functional": "PBE-GGA",
  "state": "optimized geometry",
  "cell": [[12.1992, 0.0000, 0.0000], [0.0000, 6.8093, 0.0000], [0.0000, 0.0000, 13.9495]],
  "species": ["Sr", "Sr", "Sr", "Sr", "Sr", "Sr", "Sr", "Sr", "Sr", "Sr", "Sr", "Sr", "Sr", "Sr", "Sr", "Sr", "Sr", "Sr", "Sr", "Sr", "Sr", "Sr", "Sr", "Sr", "Sr", "Sr", "Sr", "Sr", "Re", "Re", "Re", "Re", "N", "N", "N", "N", "N", "N", "N", "N", "N", "N", "N", "N", "N", "N", "N", "N", "N", "N", "N", "N", "N", "N", "N", "N"],
  "fractional_positions": [[0.0000, 0.0575, 0.2500], [0.0000, 0.9425, 0.7500], [0.0322, 0.2303, 0.5169], [0.0322, 0.7697, 0.0169], [0.2182, 0.3765, 0.1239], [0.2182, 0.6235, 0.6239], [0.2255, 0.3545, 0.8766], [0.2255, 0.6455, 0.3766], [0.2745, 0.1455, 0.3766], [0.2745, 0.8545, 0.8766], [0.2818, 0.1235, 0.6239], [0.2818, 0.8765, 0.1239], [0.4678, 0.2697, 0.0169], [0.4678, 0.7303, 0.5169], [0.5000, 0.4425, 0.7500], [0.5000, 0.5575, 0.2500], [0.5322, 0.2697, 0.4831], [0.5322, 0.7303, 0.9831], [0.7182, 0.1235, 0.8761], [0.7182, 0.8765, 0.3761], [0.7255, 0.1455, 0.1234], [0.7255, 0.8545, 0.6234], [0.7745, 0.3545, 0.6234], [0.7745, 0.6455, 0.1234], [0.7818, 0.3765, 0.3761], [0.7818, 0.6235, 0.8761], [0.9678, 0.2303, 0.9831], [0.9678, 0.7697, 0.4831], [0.0000, 0.4451, 0.7500], [0.0000, 0.5549, 0.2500], [0.5000, 0.0549, 0.2500], [0.5000, 0.9451, 0.7500], [0.0530, 0.3971, 0.3513], [0.0530, 0.6029, 0.8513], [0.1149, 0.2878, 0.7045], [0.1149, 0.7122, 0.2045], [0.1646, 0.0823, 0.9994], [0.1646, 0.9177, 0.4994], [0.3354, 0.4177, 0.4994], [0.3354, 0.5823, 0.9994], [0.3851, 0.2122, 0.2045], [0.3851, 0.7878, 0.7045], [0.4470, 0.1029, 0.8513], [0.4470, 0.8971, 0.3513], [0.5530, 0.1029, 0.6487], [0.5530, 0.8971, 0.1487], [0.6149, 0.2122, 0.2955], [0.6149, 0.7878, 0.7955], [0.6646, 0.4177, 0.0006], [0.6646, 0.5823, 0.5006], [0.8354, 0.0823, 0.5006], [0.8354, 0.9177, 0.0006], [0.8851, 0.2878, 0.7955], [0.8851, 0.7122, 0.2955], [0.9470, 0.3971, 0.1487], [0.9470, 0.6029, 0.6487]],
  "total_magnetization_mub_per_atom": 0.004,
  "space_group": "Pbcn"
}



Number 1: energy of formation from the pure elements -1.464 eV/atom. Number 2: energy of formation from the pure elements -0.622 eV/atom. Number 3: energy of formation from the pure elements 0.105 eV/atom. Number 4: energy of formation from the pure elements 0.366 eV/atom. Number 5: energy of formation from the pure elements 0.013 eV/atom. Number 6: energy of formation from the pure elements -0.390 eV/atom. Number 7: energy of formation from the pure elements -0.714 eV/atom.